Material: AlF3
Method: DFT, r2SCAN
State: optimized geometry

Cell: 3.5895 3.5895 3.5895 Å, 90.00 90.00 90.00°
With the nearest neighbours (Å) after each atom.
Fractional coordinates of all 4 atoms:
F 0.5000 0.0000 0.0000  2 Al 1.79
F 0.0000 0.5000 0.0000  2 Al 1.79
F 0.0000 0.0000 0.5000  2 Al 1.79
Al 0.0000 0.0000 0.0000  6 F 1.79

Values from the calculation:
energy of formation	-3856	meV/atom
space group	No. 221
DFT total energy	-31.54	eV per cell
mass density	3.02	g/cm3

Material: AlF3
Method: DFT, r2SCAN
State: optimized geometry

Cell: 8.7742 6.9945 5.0176 Å, 135.84 150.95 34.85°
With the nearest neighbours (Å) after each atom.
Fractional coordinates of all 8 atoms:
Al 0.4999 0.7501 0.0001  6 F 1.80
Al 0.5000 0.2500 0.9998  6 F 1.80
F 0.5878 0.4123 0.5879  2 Al 1.80
F 0.4128 0.9997 0.8252  2 Al 1.80
F 0.5876 0.5003 0.1757  2 Al 1.80
F 0.0000 0.5874 0.5878  2 Al 1.80
F 0.0000 0.9120 0.4118  2 Al 1.80
F 0.4118 0.0882 0.4116  2 Al 1.80

Values from the calculation:
energy of formation	-3866	meV/atom
space group	No. 167
DFT total energy	-63.15	eV per cell
mass density	3.26	g/cm3

Material: AlF3
Method: DFT, r2SCAN
State: optimized geometry

Cell: 9.4402 3.5930 5.8508 Å, 89.99 150.15 90.00°
With the nearest neighbours (Å) after each atom.
Fractional coordinates of all 8 atoms:
F 0.8319 0.8057 0.8566  2 Al 1.80
F 0.5537 0.8058 0.0260  2 Al 1.80
F 0.4727 0.3062 0.2223  2 Al 1.82-1.83
F 0.9131 0.3050 0.6603  2 Al 1.82-1.83
F 0.6929 0.3058 0.9412  2 Al 1.78
F 0.1928 0.3058 0.4413  2 Al 1.78
Al 0.8282 0.3056 0.8458  6 F 1.78-1.83
Al 0.5575 0.3059 0.0366  6 F 1.78-1.83

Values from the calculation:
energy of formation	-3812	meV/atom
space group	No. 10
DFT total energy	-62.71	eV per cell
mass density	2.82	g/cm3

Material: AlF3
Method: DFT, r2SCAN
State: optimized geometry

Cell: 3.5898 11.4731 11.4731 Å, 90.00 90.00 90.00°
With the nearest neighbours (Å) after each atom.
Fractional coordinates of all 40 atoms:
F 0.0000 0.7153 0.7847  2 Al 1.83
F 0.0000 0.2153 0.7153  2 Al 1.83
F 0.0000 0.1411 0.9330  2 Al 1.78-1.81
F 0.0000 0.2847 0.2153  2 Al 1.83
F 0.0000 0.9330 0.8589  2 Al 1.78-1.81
F 0.5000 0.0000 0.5000  2 Al 1.79
F 0.5000 0.4230 0.2916  2 Al 1.79
F 0.5000 0.7084 0.4230  2 Al 1.79
F 0.0000 0.6411 0.5670  2 Al 1.78-1.81
F 0.0000 0.0000 0.6555  2 Al 1.78-1.79
F 0.0000 0.3445 0.0000  2 Al 1.78-1.79
F 0.0000 0.1555 0.5000  2 Al 1.78-1.79
F 0.0000 0.0000 0.3445  2 Al 1.78-1.79
F 0.5000 0.0770 0.7916  2 Al 1.79
F 0.5000 0.5770 0.7084  2 Al 1.79
F 0.5000 0.2084 0.0770  2 Al 1.79
F 0.5000 0.9230 0.2084  2 Al 1.79
F 0.0000 0.6555 0.0000  2 Al 1.78-1.79
F 0.0000 0.4330 0.6411  2 Al 1.78-1.81
F 0.0000 0.8589 0.0670  2 Al 1.78-1.81
F 0.0000 0.8445 0.5000  2 Al 1.78-1.79
F 0.0000 0.0670 0.1411  2 Al 1.78-1.81
F 0.0000 0.5000 0.1555  2 Al 1.78-1.79
F 0.5000 0.5000 0.0000  2 Al 1.79
F 0.0000 0.5000 0.8445  2 Al 1.78-1.79
F 0.0000 0.3589 0.4330  2 Al 1.78-1.81
F 0.0000 0.5670 0.3589  2 Al 1.78-1.81
F 0.0000 0.7847 0.2847  2 Al 1.83
F 0.5000 0.7916 0.9230  2 Al 1.79
F 0.5000 0.2916 0.5770  2 Al 1.79
Al 0.0000 0.7079 0.4242  6 F 1.78-1.83
Al 0.0000 0.5758 0.7079  6 F 1.78-1.83
Al 0.0000 0.7921 0.9242  6 F 1.78-1.83
Al 0.0000 0.9242 0.2079  6 F 1.78-1.83
Al 0.0000 0.2921 0.5758  6 F 1.78-1.83
Al 0.0000 0.5000 0.0000  6 F 1.78-1.79
Al 0.0000 0.0000 0.5000  6 F 1.78-1.79
Al 0.0000 0.4242 0.2921  6 F 1.78-1.83
Al 0.0000 0.0758 0.7921  6 F 1.78-1.83
Al 0.0000 0.2079 0.0758  6 F 1.78-1.83

Values from the calculation:
energy of formation	-3851	meV/atom
space group	No. 127
DFT total energy	-315.12	eV per cell
mass density	2.95	g/cm3

Number 1: magnetization 0.0 μB/f.u.. Number 2: magnetization 0.0 μB/f.u.. Number 3: magnetization 0.0 μB/f.u.. Number 4: magnetization 0.0 μB/f.u..